PBE Th2Al, relaxed; mass density = 9650 kg/m³; formation enthalpy at 0 K = -0.229 eV per atom; energy = -6.42 eV/atom; SG = I4/mcm (140); crystal system = tetragonal
1.0
-3.844 3.844 2.860
3.844 -3.844 2.860
3.844 3.844 -2.860
Th Al
4 2
direct
0.158 0.658 0.816
0.342 0.158 0.500
0.658 0.842 0.500
0.842 0.342 0.184
0.250 0.250 0.000
0.750 0.750 0.000